PBE+U V2Bi8O17, optimized geometry; total moment = 0.0 μB/f.u.; VASP energy = -0.2227 hartree per atom; offset from the most stable computed form = 2.05 kcal/mol of atoms; energy of formation from the pure elements = -1.6782 eV/atom; V = 15.94 Å³ per atom
1.0
3.643 -1.877 0.000
3.643 1.877 0.000
-2.679 0.000 31.481
V Bi O
2 8 17
Direct
0.000 0.000 0.000 V
0.235 0.235 0.178 V
0.037 0.037 0.265 Bi
0.129 0.129 0.586 Bi
0.193 0.193 0.913 Bi
0.375 0.375 0.484 Bi
0.533 0.533 0.803 Bi
0.637 0.637 0.088 Bi
0.728 0.728 0.371 Bi
0.877 0.877 0.695 Bi
0.013 0.013 0.192 O
0.053 0.053 0.368 O
0.112 0.112 0.513 O
0.125 0.125 0.661 O
0.225 0.225 0.987 O
0.293 0.293 0.119 O
0.330 0.330 0.233 O
0.453 0.453 0.581 O
0.492 0.492 0.729 O
0.541 0.541 0.011 O
0.560 0.560 0.878 O
0.692 0.692 0.296 O
0.697 0.697 0.165 O
0.772 0.772 0.446 O
0.859 0.859 0.798 O
0.911 0.911 0.943 O
0.942 0.942 0.058 O



PBE+U MgMn2Ni2O6, optimized geometry; total moment = 12.0 μB/f.u.; VASP energy = -0.2257 hartree per atom; offset from the most stable computed form = 0.00 kcal/mol of atoms; energy of formation from the pure elements = -1.7216 eV/atom; V = 10.41 Å³ per atom
1.0
2.583 1.491 4.956
-2.583 1.491 4.956
0.000 -2.982 4.956
Mg Mn Ni O
1 2 2 6
Direct
0.000 0.000 0.000 Mg
0.353 0.353 0.353 Mn
0.647 0.647 0.647 Mn
0.171 0.171 0.171 Ni
0.829 0.829 0.829 Ni
0.051 0.763 0.420 O
0.237 0.580 0.949 O
0.420 0.051 0.763 O
0.580 0.949 0.237 O
0.763 0.420 0.051 O
0.949 0.237 0.580 O



PBE+U LiCoPO4, optimized geometry; total moment = 0.0 μB/f.u.; VASP energy = -0.2426 hartree per atom; offset from the most stable computed form = 1.58 kcal/mol of atoms; energy of formation from the pure elements = -2.3394 eV/atom; V = 10.67 Å³ per atom
1.0
5.499 0.000 0.000
1.467 6.085 0.000
1.014 2.028 8.931
Li Co P O
4 4 4 16
Direct
0.149 0.488 0.242 Li
0.295 0.653 0.584 Li
0.705 0.347 0.416 Li
0.851 0.512 0.758 Li
0.223 0.835 0.914 Co
0.349 0.954 0.287 Co
0.651 0.046 0.713 Co
0.777 0.165 0.086 Co
0.179 0.178 0.576 P
0.305 0.302 0.951 P
0.695 0.698 0.049 P
0.821 0.822 0.424 P
0.094 0.727 0.367 O
0.113 0.163 0.935 O
0.166 0.180 0.409 O
0.197 0.545 0.868 O
0.284 0.936 0.672 O
0.348 0.277 0.120 O
0.370 0.319 0.593 O
0.427 0.789 0.115 O
0.573 0.211 0.885 O
0.630 0.681 0.407 O
0.652 0.723 0.880 O
0.716 0.064 0.328 O
0.803 0.455 0.132 O
0.834 0.820 0.591 O
0.887 0.837 0.065 O
0.906 0.273 0.633 O



PBE+U MgFe4As2O11, optimized geometry; total moment = 18.0 μB/f.u.; VASP energy = -0.2329 hartree per atom; offset from the most stable computed form = 0.29 kcal/mol of atoms; energy of formation from the pure elements = -1.7452 eV/atom; V = 11.96 Å³ per atom
1.0
5.343 0.000 0.000
-0.980 6.457 0.000
-1.609 -2.556 6.242
Mg Fe As O
1 4 2 11
Direct
0.000 0.000 0.000 Mg
0.084 0.581 0.215 Fe
0.342 0.135 0.369 Fe
0.515 0.696 0.005 Fe
0.822 0.942 0.476 Fe
0.501 0.155 0.858 As
0.869 0.518 0.649 As
0.105 0.555 0.883 O
0.158 0.313 0.218 O
0.247 0.141 0.646 O
0.373 0.987 0.975 O
0.443 0.812 0.310 O
0.611 0.611 0.718 O
0.656 0.421 0.042 O
0.755 0.052 0.771 O
0.759 0.243 0.467 O
0.932 0.864 0.212 O
0.976 0.678 0.510 O



PBE+U Mn2OF3, optimized geometry; total moment = 9.0 μB/f.u.; VASP energy = -0.2409 hartree per atom; offset from the most stable computed form = 0.41 kcal/mol of atoms; energy of formation from the pure elements = -2.6209 eV/atom; V = 12.57 Å³ per atom
1.0
12.735 0.000 0.000
0.000 3.546 3.341
0.000 -3.546 3.341
Mn O F
8 4 12
Direct
0.000 0.000 0.000 Mn
0.125 0.469 0.469 Mn
0.251 0.007 0.007 Mn
0.375 0.479 0.479 Mn
0.500 0.948 0.948 Mn
0.625 0.479 0.479 Mn
0.749 0.007 0.007 Mn
0.875 0.469 0.469 Mn
0.000 0.291 0.291 O
0.253 0.302 0.302 O
0.500 0.650 0.650 O
0.747 0.302 0.302 O
0.000 0.685 0.685 F
0.124 0.184 0.796 F
0.124 0.796 0.184 F
0.245 0.692 0.692 F
0.375 0.180 0.778 F
0.375 0.778 0.180 F
0.500 0.262 0.262 F
0.625 0.180 0.778 F
0.625 0.778 0.180 F
0.755 0.692 0.692 F
0.876 0.184 0.796 F
0.876 0.796 0.184 F



PBE+U BaYMgCrCuO5, optimized geometry; total moment = 4.0 μB/f.u.; VASP energy = -0.2409 hartree per atom; offset from the most stable computed form = 2.35 kcal/mol of atoms; energy of formation from the pure elements = -2.2498 eV/atom; V = 15.09 Å³ per atom
1.0
3.738 0.000 0.000
0.000 4.348 0.000
0.000 0.000 9.284
Ba Y Mg Cr Cu O
1 1 1 1 1 5
Direct
0.000 0.000 0.000 Ba
0.000 0.000 0.590 Y
0.000 0.500 0.278 Mg
0.500 0.500 0.789 Cr
0.500 0.500 0.503 Cu
0.000 0.500 0.495 O
0.000 0.500 0.842 O
0.500 0.000 0.451 O
0.500 0.000 0.781 O
0.500 0.500 0.173 O



> What is the formula in the sixth record?

BaYMgCrCuO5